# LaMn2CdO6 (PBE with a Hubbard U, relaxed)
data_LaMn2CdO6
_chemical_formula_sum 'La2 Mn4 Cd2 O12'
_symmetry_space_group_name_H-M 'P 1'
_symmetry_Int_Tables_number 1
_cell_length_a 5.468
_cell_length_b 5.494
_cell_length_c 9.377
_cell_angle_alpha 74.33
_cell_angle_beta 74.29
_cell_angle_gamma 60.99
loop_
_symmetry_equiv_pos_as_xyz
'x,y,z'
loop_
_atom_site_label
_atom_site_type_symbol
_atom_site_fract_x
_atom_site_fract_y
_atom_site_fract_z
La1 La 0.000 0.000 0.000
La2 La 0.480 0.523 0.500
Mn1 Mn 0.107 0.151 0.624
Mn2 Mn 0.367 0.381 0.876
Mn3 Mn 0.626 0.620 0.124
Mn4 Mn 0.863 0.890 0.376
Cd1 Cd 0.253 0.249 0.250
Cd2 Cd 0.734 0.767 0.750
O1 O 0.009 0.560 0.008
O2 O 0.050 0.950 0.503
O3 O 0.147 0.357 0.749
O4 O 0.278 0.650 0.247
O5 O 0.304 0.801 0.748
O6 O 0.450 0.977 0.003
O7 O 0.457 0.100 0.497
O8 O 0.581 0.434 0.993
O9 O 0.667 0.832 0.249
O10 O 0.727 0.189 0.746
O11 O 0.842 0.244 0.246
O12 O 0.909 0.525 0.505
# Polymorph energy (0 for the lowest one) ... 4 meV/atom
# ΔE_f ... -223.1 kJ per mole of atoms